[1]
DFT (r²SCAN) results for a relaxed YbHfIr2 crystal.

Unit cell a=4.670 b=4.670 c=4.670 alpha=60.00 beta=60.00 gamma=60.00
Atoms (fractional coordinates):
Yb1 0.500 0.500 0.500
Ir1 0.750 0.750 0.750
Ir2 0.250 0.250 0.250
Hf1 0.000 0.000 0.000

Output
- Space group: Fm-3m
- V: 72.02 Å³/cell

***

[2]
DFT (r²SCAN) results for a relaxed K2Hf2O5 crystal.

Unit cell a=5.788 b=8.669 c=10.668 alpha=90.00 beta=90.00 gamma=90.00
Atoms (fractional coordinates):
O1 0.750 0.753 0.500
O2 0.628 0.449 0.606
O3 0.250 0.676 0.000
O4 0.750 0.176 0.500
O5 0.128 0.551 0.606
O6 0.506 0.750 0.750
O7 0.250 0.824 0.500
O8 0.250 0.247 0.500
O9 0.250 0.253 0.000
O10 0.872 0.051 0.106
O11 0.750 0.747 0.000
O12 0.372 0.949 0.106
O13 0.750 0.324 0.000
O14 0.994 0.750 0.250
O15 0.128 0.949 0.894
O16 0.494 0.250 0.250
O17 0.628 0.051 0.894
O18 0.872 0.449 0.394
O19 0.006 0.250 0.750
O20 0.372 0.551 0.394
K1 0.432 0.076 0.667
K2 0.932 0.924 0.667
K3 0.432 0.424 0.833
K4 0.068 0.076 0.333
K5 0.068 0.424 0.167
K6 0.568 0.924 0.333
K7 0.932 0.576 0.833
K8 0.568 0.576 0.167
Hf1 0.467 0.659 0.576
Hf2 0.967 0.159 0.924
Hf3 0.967 0.341 0.576
Hf4 0.467 0.841 0.924
Hf5 0.533 0.341 0.424
Hf6 0.033 0.841 0.076
Hf7 0.033 0.659 0.424
Hf8 0.533 0.159 0.076

Output
- Space group: Pnna
- V: 535.32 Å³/cell

***

[3]
DFT (r²SCAN) results for a relaxed K4HfO4 crystal.

Unit cell a=6.531 b=6.542 c=9.737 alpha=72.10 beta=80.04 gamma=66.93
Atoms (fractional coordinates):
O1 0.535 0.658 0.807
O2 0.465 0.342 0.193
O3 0.541 0.157 0.647
O4 0.961 0.710 0.622
O5 0.862 0.839 0.918
O6 0.039 0.290 0.378
O7 0.138 0.161 0.082
O8 0.459 0.843 0.353
K1 0.740 0.587 0.169
K2 0.759 0.239 0.974
K3 0.223 0.959 0.616
K4 0.726 0.486 0.559
K5 0.241 0.761 0.026
K6 0.777 0.041 0.384
K7 0.260 0.413 0.831
K8 0.274 0.514 0.441
Hf1 0.721 0.846 0.755
Hf2 0.279 0.154 0.245

Output
- Space group: P-1
- V: 363.53 Å³/cell

***

[4]
DFT (r²SCAN) results for a relaxed K4Hf5O12 crystal.

Unit cell a=5.766 b=5.766 c=10.324 alpha=90.00 beta=90.00 gamma=120.00
Atoms (fractional coordinates):
K1 0.000 0.000 0.323
K2 0.333 0.667 0.113
K3 0.667 0.333 0.887
K4 0.000 0.000 0.677
O1 0.490 0.981 0.623
O2 0.330 0.165 0.121
O3 0.835 0.165 0.121
O4 0.165 0.330 0.879
O5 0.165 0.835 0.879
O6 0.510 0.490 0.377
O7 0.019 0.510 0.623
O8 0.490 0.510 0.623
O9 0.981 0.490 0.377
O10 0.670 0.835 0.879
O11 0.835 0.670 0.121
O12 0.510 0.019 0.377
Hf1 0.667 0.333 0.216
Hf2 0.000 0.000 0.000
Hf3 0.333 0.667 0.476
Hf4 0.667 0.333 0.524
Hf5 0.333 0.667 0.784

Output
- Space group: P-3m1
- V: 297.24 Å³/cell

***

[5]
DFT (r²SCAN) results for a relaxed K2HfO3 crystal.

Unit cell a=5.809 b=5.809 c=12.335 alpha=90.00 beta=90.00 gamma=120.00
Atoms (fractional coordinates):
O1 0.400 0.400 0.906
O2 0.600 0.000 0.906
O3 0.600 0.600 0.406
O4 0.000 0.600 0.906
O5 0.600 0.600 0.094
O6 0.000 0.400 0.406
O7 0.400 0.000 0.094
O8 0.000 0.600 0.594
O9 0.400 0.000 0.406
O10 0.600 0.000 0.594
O11 0.400 0.400 0.594
O12 0.000 0.400 0.094
K1 0.311 0.311 0.250
K2 0.000 0.311 0.750
K3 0.000 0.000 0.500
K4 0.000 0.000 0.000
K5 0.689 0.689 0.750
K6 0.689 0.000 0.250
K7 0.311 0.000 0.750
K8 0.000 0.689 0.250
Hf1 0.667 0.333 0.500
Hf2 0.333 0.667 0.500
Hf3 0.667 0.333 0.000
Hf4 0.333 0.667 0.000

Output
- Space group: P6_3/mcm
- V: 360.46 Å³/cell

***

[6]
DFT (r²SCAN) results for a relaxed Li7La3Hf2O12 crystal.

Unit cell a=11.158 b=11.158 c=11.158 alpha=108.29 beta=108.29 gamma=111.86
Atoms (fractional coordinates):
La1 0.000 0.500 0.500
La2 0.500 0.000 0.500
La3 0.875 0.497 0.122
La4 0.003 0.625 0.878
La5 0.750 0.750 0.000
La6 0.875 0.997 0.622
La7 0.247 0.125 0.622
La8 0.375 0.753 0.878
La9 0.250 0.250 0.000
La10 0.747 0.125 0.122
La11 0.375 0.253 0.378
La12 0.503 0.625 0.378
O1 0.924 0.295 0.073
O2 0.528 0.955 0.129
O3 0.826 0.399 0.871
O4 0.536 0.694 0.051
O5 0.705 0.778 0.629
O6 0.643 0.485 0.949
O7 0.224 0.493 0.661
O8 0.222 0.851 0.927
O9 0.313 0.082 0.839
O10 0.607 0.265 0.551
O11 0.107 0.556 0.343
O12 0.444 0.786 0.551
O13 0.235 0.893 0.449
O14 0.214 0.765 0.657
O15 0.437 0.776 0.269
O16 0.832 0.563 0.339
O17 0.045 0.174 0.573
O18 0.813 0.974 0.231
O19 0.418 0.187 0.161
O20 0.944 0.393 0.657
O21 0.036 0.985 0.843
O22 0.722 0.795 0.371
O23 0.424 0.351 0.629
O24 0.526 0.687 0.769
O25 0.545 0.972 0.871
O26 0.028 0.899 0.573
O27 0.143 0.194 0.157
O28 0.507 0.168 0.731
O29 0.806 0.964 0.949
O30 0.007 0.276 0.339
O31 0.149 0.076 0.371
O32 0.918 0.757 0.231
O33 0.714 0.056 0.449
O34 0.243 0.474 0.161
O35 0.101 0.674 0.129
O36 0.205 0.576 0.927
O37 0.937 0.668 0.661
O38 0.015 0.857 0.051
O39 0.649 0.278 0.073
O40 0.743 0.582 0.769
O41 0.601 0.472 0.427
O42 0.326 0.455 0.427
O43 0.306 0.357 0.843
O44 0.724 0.063 0.731
O45 0.735 0.286 0.343
O46 0.026 0.257 0.839
O47 0.515 0.464 0.157
O48 0.332 0.993 0.269
Li1 0.405 0.488 0.755
Li2 0.679 0.179 0.857
Li3 0.232 0.988 0.083
Li4 0.000 0.000 0.000
Li5 0.321 0.821 0.143
Li6 0.350 0.595 0.083
Li7 0.821 0.679 0.500
Li8 0.400 0.982 0.745
Li9 0.512 0.268 0.917
Li10 0.179 0.321 0.500
Li11 0.850 0.768 0.755
Li12 0.518 0.100 0.255
Li13 0.012 0.095 0.245
Li14 0.738 0.482 0.583
Li15 0.750 0.250 0.500
Li16 0.732 0.650 0.245
Li17 0.905 0.150 0.917
Li18 0.929 0.929 0.357
Li19 0.500 0.500 0.000
Li20 0.238 0.655 0.255
Li21 0.571 0.571 0.643
Li22 0.345 0.600 0.583
Li23 0.071 0.429 0.000
Li24 0.429 0.071 0.000
Li25 0.900 0.155 0.417
Li26 0.250 0.750 0.500
Li27 0.845 0.262 0.745
Li28 0.018 0.762 0.417
Hf1 0.625 0.375 0.750
Hf2 0.125 0.375 0.250
Hf3 0.625 0.875 0.750
Hf4 0.125 0.875 0.750
Hf5 0.125 0.375 0.750
Hf6 0.625 0.375 0.250
Hf7 0.625 0.875 0.250
Hf8 0.125 0.875 0.250

Output
- Space group: I4_1/acd
- V: 1067.88 Å³/cell

***

[7]
DFT (r²SCAN) results for a relaxed La3HfSb5 crystal.

Unit cell a=9.671 b=9.671 c=6.395 alpha=90.00 beta=90.00 gamma=120.00
Atoms (fractional coordinates):
La1 0.618 0.618 0.750
La2 0.382 0.000 0.750
La3 0.000 0.618 0.250
La4 0.382 0.382 0.250
La5 0.618 0.000 0.250
La6 0.000 0.382 0.750
Sb1 0.000 0.745 0.750
Sb2 0.745 0.000 0.750
Sb3 0.255 0.255 0.750
Sb4 0.333 0.667 0.000
Sb5 0.255 0.000 0.250
Sb6 0.745 0.745 0.250
Sb7 0.000 0.255 0.250
Sb8 0.667 0.333 0.500
Sb9 0.667 0.333 0.000
Sb10 0.333 0.667 0.500
Hf1 0.000 0.000 0.000
Hf2 0.000 0.000 0.500

Output
- Space group: P6_3/mcm
- V: 517.95 Å³/cell

***

[8]
DFT (r²SCAN) results for a relaxed Li2HfN2 crystal.

Unit cell a=3.237 b=3.237 c=5.424 alpha=90.00 beta=90.00 gamma=120.00
Atoms (fractional coordinates):
Li1 0.667 0.333 0.383
Li2 0.333 0.667 0.617
N1 0.333 0.667 0.221
N2 0.667 0.333 0.779
Hf1 0.000 0.000 0.000

Output
- Space group: P-3m1
- V: 49.22 Å³/cell

***

[9]
DFT (r²SCAN) results for a relaxed Li8HfO6 crystal.

Unit cell a=5.983 b=5.983 c=5.983 alpha=53.99 beta=53.99 gamma=53.99
Atoms (fractional coordinates):
Li1 0.103 0.766 0.496
Li2 0.766 0.496 0.103
Li3 0.496 0.103 0.766
Li4 0.656 0.656 0.656
Li5 0.897 0.234 0.504
Li6 0.344 0.344 0.344
Li7 0.504 0.897 0.234
Li8 0.234 0.504 0.897
Hf1 0.000 0.000 0.000
O1 0.386 0.765 0.092
O2 0.235 0.908 0.614
O3 0.908 0.614 0.235
O4 0.614 0.235 0.908
O5 0.092 0.386 0.765
O6 0.765 0.092 0.386

Output
- Space group: R-3
- V: 130.19 Å³/cell

***

[10]
DFT (r²SCAN) results for a relaxed LiHfPt2 crystal.

Unit cell a=4.481 b=4.481 c=4.481 alpha=60.00 beta=60.00 gamma=60.00
Atoms (fractional coordinates):
Pt1 0.500 0.500 0.500
Pt2 0.000 0.000 0.000
Hf1 0.250 0.250 0.250
Li1 0.750 0.750 0.750

Output
- Space group: Fm-3m
- V: 63.62 Å³/cell

***

[11]
DFT (r²SCAN) results for a relaxed LiHf2Re crystal.

Unit cell a=4.623 b=4.623 c=4.623 alpha=60.00 beta=60.00 gamma=60.00
Atoms (fractional coordinates):
Hf1 0.500 0.500 0.500
Hf2 0.000 0.000 0.000
Li1 0.250 0.250 0.250
Re1 0.750 0.750 0.750

Output
- Space group: Fm-3m
- V: 69.87 Å³/cell

***

[12]
DFT (r²SCAN) results for a relaxed LiHfRh2 crystal.

Unit cell a=4.370 b=4.370 c=4.370 alpha=60.00 beta=60.00 gamma=60.00
Atoms (fractional coordinates):
Hf1 0.250 0.250 0.250
Rh1 0.500 0.500 0.500
Rh2 0.000 0.000 0.000
Li1 0.750 0.750 0.750

Output
- Space group: Fm-3m
- V: 59.02 Å³/cell

***

Number 1: formation enthalpy at 0 K -1.04 eV/atom. Number 2: formation enthalpy at 0 K -3.19 eV/atom. Number 3: formation enthalpy at 0 K -2.31 eV/atom. Number 4: formation enthalpy at 0 K -3.31 eV/atom. Number 5: formation enthalpy at 0 K -2.77 eV/atom. Number 6: formation enthalpy at 0 K -3.11 eV/atom. Number 7: formation enthalpy at 0 K -1.18 eV/atom. Number 8: formation enthalpy at 0 K -1.43 eV/atom. Number 9: formation enthalpy at 0 K -2.47 eV/atom. Number 10: formation enthalpy at 0 K -1.02 eV/atom. Number 11: formation enthalpy at 0 K -0.23 eV/atom. Number 12: formation enthalpy at 0 K -0.77 eV/atom.